First-principles (PBE) data for a relaxed SrH6C4O7 crystal, as listed in the Materials Project.

Cell and atoms, written as POSCAR:
```
SrH6C4O7
1.0
6.6288 -3.3716 0.0000
6.6288 3.3716 0.0000
-1.1582 0.0000 8.4905
Sr H C O
2 12 8 14
direct
0.0138 0.9862 0.7500
0.9862 0.0138 0.2500
0.1156 0.5126 0.1459
0.1454 0.5926 0.9926
0.4074 0.8546 0.5074
0.4470 0.4651 0.6810
0.4651 0.4470 0.1810
0.4874 0.8844 0.3541
0.5126 0.1156 0.6459
0.5349 0.5530 0.8190
0.5530 0.5349 0.3190
0.5926 0.1454 0.4926
0.8546 0.4074 0.0074
0.8844 0.4874 0.8541
0.0165 0.4492 0.3805
0.0285 0.6170 0.4821
0.3830 0.9715 0.0179
0.4492 0.0165 0.8805
0.5508 0.9835 0.1195
0.6170 0.0285 0.9821
0.9715 0.3830 0.5179
0.9835 0.5508 0.6195
0.0373 0.3803 0.2370
0.0614 0.7625 0.4673
0.1676 0.5966 0.1077
0.2375 0.9386 0.0327
0.3803 0.0373 0.7370
0.3994 0.6006 0.7500
0.4034 0.8324 0.3923
0.5966 0.1676 0.6077
0.6006 0.3994 0.2500
0.6197 0.9627 0.2630
0.7625 0.0614 0.9673
0.8324 0.4034 0.8923
0.9386 0.2375 0.5327
0.9627 0.6197 0.7630
```

Properties
DFT formation energy = -1.37 eV per atom
Total energy = -6.306 eV per atom
E (MP2020) = -0.4831 Ry per atom

First-principles (PBE) data for a relaxed Sr2GdBeO5 crystal, as listed in the Materials Project.

Cell and atoms, written as POSCAR:
```
Sr2GdBeO5
1.0
9.6508 0.0000 0.0000
0.0000 7.3428 0.0000
0.0000 0.0000 6.5842
Sr Gd Be O
8 4 4 20
direct
0.1736 0.0236 0.0880
0.1736 0.4764 0.0880
0.3264 0.5236 0.5880
0.3264 0.9764 0.5880
0.6736 0.0236 0.4120
0.6736 0.4764 0.4120
0.8264 0.5236 0.9120
0.8264 0.9764 0.9120
0.0247 0.2500 0.5866
0.4753 0.7500 0.0866
0.5247 0.2500 0.9134
0.9753 0.7500 0.4134
0.1018 0.7500 0.8126
0.3982 0.2500 0.3126
0.6018 0.7500 0.6874
0.8982 0.2500 0.1874
0.0114 0.7500 0.0306
0.0629 0.5626 0.6862
0.0629 0.9374 0.6862
0.2082 0.7500 0.3327
0.2289 0.2500 0.3770
0.2711 0.7500 0.8770
0.2918 0.2500 0.8327
0.4371 0.0626 0.1862
0.4371 0.4374 0.1862
0.4886 0.2500 0.5306
0.5114 0.7500 0.4694
0.5629 0.5626 0.8138
0.5629 0.9374 0.8138
0.7082 0.7500 0.1673
0.7289 0.2500 0.1230
0.7711 0.7500 0.6230
0.7918 0.2500 0.6673
0.9371 0.0626 0.3138
0.9371 0.4374 0.3138
0.9886 0.2500 0.9694
```

Properties
DFT formation energy = -3.15 eV per atom
Total energy = -7.870 eV per atom
E (MP2020) = -0.6065 Ry per atom

First-principles (PBE) data for a relaxed Dy5NiPb3 crystal, as listed in the Materials Project.

Cell and atoms, written as POSCAR:
```
Dy5NiPb3
1.0
9.1765 0.0000 0.0000
-4.5883 7.9471 0.0000
0.0000 0.0000 6.7196
Dy Ni Pb
10 2 6
direct
0.0000 0.2377 0.2500
0.0000 0.7623 0.7500
0.2377 0.0000 0.2500
0.2377 0.2377 0.7500
0.3333 0.6667 0.0000
0.3333 0.6667 0.5000
0.6667 0.3333 0.0000
0.6667 0.3333 0.5000
0.7623 0.0000 0.7500
0.7623 0.7623 0.2500
0.0000 0.0000 0.0000
0.0000 0.0000 0.5000
0.0000 0.4004 0.7500
0.0000 0.5996 0.2500
0.4004 0.0000 0.7500
0.4004 0.4004 0.2500
0.5996 0.0000 0.2500
0.5996 0.5996 0.7500
```

Properties
DFT formation energy = -0.53 eV per atom
Total energy = -4.965 eV per atom

First-principles (PBE) data for a relaxed NbO2 crystal, as listed in the Materials Project.

Cell and atoms, written as POSCAR:
```
NbO2
1.0
10.7838 0.0000 0.0000
0.7496 11.1315 0.0000
0.1292 0.9414 11.3299
Nb O
34 68
direct
0.0000 0.0000 0.0000
0.0002 0.2893 0.0910
0.0054 0.3383 0.7156
0.0345 0.8331 0.3948
0.0526 0.9974 0.7684
0.0678 0.5628 0.8998
0.0799 0.7245 0.6347
0.1219 0.3388 0.4208
0.1603 0.1459 0.2974
0.2260 0.8200 0.9330
0.2711 0.6043 0.3875
0.2730 0.4738 0.6917
0.2756 0.5097 0.0442
0.2768 0.7360 0.1573
0.3089 0.9694 0.5087
0.3269 0.0772 0.0412
0.3559 0.0394 0.8011
0.3752 0.2280 0.4995
0.4349 0.2727 0.2058
0.5101 0.2434 0.7660
0.5291 0.6789 0.5677
0.5471 0.9411 0.0978
0.5725 0.5612 0.2977
0.6032 0.7006 0.8499
0.6381 0.1918 0.5144
0.6428 0.9649 0.4058
0.7116 0.2170 0.0254
0.7185 0.6441 0.1037
0.7201 0.0031 0.7397
0.7694 0.4116 0.5415
0.7785 0.4611 0.8812
0.8182 0.7078 0.3882
0.8379 0.0840 0.3960
0.9540 0.7319 0.0884
0.0294 0.0210 0.3521
0.0318 0.3086 0.2615
0.0577 0.5486 0.7141
0.0824 0.1182 0.1123
0.1059 0.4323 0.0499
0.1275 0.5210 0.3879
0.1284 0.6632 0.0474
0.1325 0.8773 0.0881
0.1424 0.7147 0.8176
0.1571 0.8594 0.5237
0.1794 0.3298 0.7225
0.1852 0.1601 0.4831
0.1862 0.0250 0.9049
0.1929 0.7675 0.3161
0.2271 0.9948 0.6820
0.2466 0.6249 0.5829
0.2494 0.4878 0.8623
0.2660 0.2115 0.1520
0.2701 0.5510 0.2120
0.2849 0.3920 0.5261
0.2898 0.0028 0.3454
0.2915 0.2952 0.3325
0.3496 0.6614 0.9925
0.3663 0.1845 0.6751
0.3683 0.8907 0.0865
0.3812 0.8645 0.8468
0.3900 0.1867 0.9087
0.3981 0.3781 0.0624
0.4121 0.8202 0.5368
0.4344 0.6893 0.2477
0.4380 0.4077 0.7224
0.4527 0.5848 0.4542
0.4635 0.1010 0.1567
0.4857 0.4364 0.2596
0.4865 0.6608 0.7364
0.4922 0.0414 0.5053
0.5161 0.2395 0.3811
0.5444 0.0453 0.7881
0.5612 0.9176 0.2643
0.6136 0.2673 0.1472
0.6136 0.7859 0.0116
0.6366 0.5543 0.9689
0.6409 0.5291 0.5854
0.6513 0.0601 0.0080
0.6540 0.3208 0.8851
0.6615 0.7732 0.4876
0.6705 0.8437 0.7653
0.6749 0.1971 0.6911
0.6968 0.7222 0.2549
0.7181 0.4993 0.2052
0.7355 0.0750 0.2671
0.7545 0.6194 0.7899
0.7563 0.0245 0.5667
0.7946 0.5345 0.4143
0.7995 0.2589 0.4458
0.8194 0.4041 0.7131
0.8276 0.3646 0.0489
0.8422 0.8917 0.3958
0.8608 0.0041 0.8373
0.8732 0.8858 0.0587
0.8902 0.6045 0.9862
0.8914 0.1572 0.0120
0.9532 0.7025 0.5174
0.9597 0.7262 0.2640
0.9715 0.3971 0.8789
0.9814 0.3653 0.5413
0.9869 0.8614 0.6957
0.9968 0.1717 0.7369
```

Properties
DFT formation energy = -2.64 eV per atom
Total energy = -8.846 eV per atom
E (MP2020) = -0.6839 Ry per atom

First-principles (PBE) data for a relaxed K3Tc crystal, as listed in the Materials Project.

Cell and atoms, written as POSCAR:
```
K3Tc
1.0
0.0000 4.4727 4.4727
4.4727 0.0000 4.4727
4.4727 4.4727 0.0000
K Tc
3 1
direct
0.0000 0.0000 0.0000
0.2500 0.2500 0.2500
0.7500 0.7500 0.7500
0.5000 0.5000 0.5000
```

Properties
DFT formation energy = 1.20 eV per atom
Excess energy over the best structure of this formula in the dataset = 0 meV per atom
Total energy = -2.228 eV per atom

First-principles (PBE) data for a relaxed Mg6SiBO8 crystal, as listed in the Materials Project.

Cell and atoms, written as POSCAR:
```
Mg6SiBO8
1.0
4.2468 0.0000 0.0000
0.0000 4.2468 0.0000
0.0000 0.0000 8.6761
Mg Si B O
6 1 1 8
direct
0.0000 0.0000 0.0000
0.0000 0.5000 0.2506
0.0000 0.5000 0.7494
0.5000 0.0000 0.2506
0.5000 0.0000 0.7494
0.5000 0.5000 0.0000
0.0000 0.0000 0.5000
0.5000 0.5000 0.5000
0.0000 0.0000 0.2530
0.0000 0.0000 0.7470
0.0000 0.5000 0.0000
0.0000 0.5000 0.5000
0.5000 0.0000 0.0000
0.5000 0.0000 0.5000
0.5000 0.5000 0.2395
0.5000 0.5000 0.7605
```

Properties
DFT formation energy = -2.29 eV per atom
Excess energy over the best structure of this formula in the dataset = 56 meV per atom
Total energy = -5.782 eV per atom
E (MP2020) = -0.4502 Ry per atom

First-principles (PBE) data for a relaxed CeSe2O6 crystal, as listed in the Materials Project.

Cell and atoms, written as POSCAR:
```
CeSe2O6
1.0
7.1553 0.0000 0.0000
0.0000 10.8561 0.0000
-5.0796 0.0000 7.1252
Ce Se O
4 8 24
direct
0.2484 0.0967 0.4879
0.2484 0.4033 0.9879
0.7516 0.5967 0.0121
0.7516 0.9033 0.5121
0.1863 0.7148 0.9271
0.1863 0.7852 0.4271
0.2838 0.0718 0.0694
0.2838 0.4282 0.5694
0.7162 0.5718 0.4306
0.7162 0.9282 0.9306
0.8137 0.2148 0.5729
0.8137 0.2852 0.0729
0.0012 0.5991 0.9073
0.0012 0.9009 0.4073
0.0534 0.7418 0.1981
0.0534 0.7582 0.6981
0.1558 0.0882 0.1870
0.1558 0.4118 0.6870
0.3859 0.6051 0.9583
0.3859 0.8949 0.4583
0.4107 0.2156 0.1124
0.4107 0.2844 0.6124
0.4779 0.0204 0.7864
0.4779 0.4796 0.2864
0.5221 0.5204 0.7136
0.5221 0.9796 0.2136
0.5893 0.7156 0.3876
0.5893 0.7844 0.8876
0.6141 0.1051 0.5417
0.6141 0.3949 0.0417
0.8442 0.5882 0.3130
0.8442 0.9118 0.8130
0.9466 0.2418 0.3019
0.9466 0.2582 0.8019
0.9988 0.0991 0.5927
0.9988 0.4009 0.0927
```

Properties
DFT formation energy = -2.14 eV per atom
Total energy = -6.416 eV per atom
E (MP2020) = -0.5052 Ry per atom

First-principles (PBE) data for a relaxed Cd3Pt crystal, as listed in the Materials Project.

Cell and atoms, written as POSCAR:
```
Cd3Pt
1.0
5.9994 0.0000 0.0000
-2.9997 5.1957 0.0000
0.0000 0.0000 4.9480
Cd Pt
6 2
direct
0.1712 0.3424 0.2500
0.1712 0.8288 0.2500
0.3424 0.1712 0.7500
0.6576 0.8288 0.2500
0.8288 0.1712 0.7500
0.8288 0.6576 0.7500
0.3333 0.6667 0.7500
0.6667 0.3333 0.2500
```

Properties
DFT formation energy = -0.18 eV per atom
Total energy = -2.394 eV per atom

- Among the records above, which one has the highest DFT formation energy?
  K3Tc